No. 1
Compound: TbGa6Fe6
Source: Materials Project
Functional: meta-GGA r2SCAN
Structure: optimized geometry

It has space group Immm (No. 71), with a = 5.007 Å, b = 8.550 Å, c = 8.614 Å, α = 90.00°, β = 90.00° and γ = 90.00°. Symmetry generates all atoms from Tb at (0.000, 0.000, 0.000), Ga at (0.000, 0.000, 0.346), Ga at (0.000, 0.334, 0.000), Ga at (0.000, 0.500, 0.313), Fe at (0.000, 0.257, 0.500) and Fe at (0.250, 0.250, 0.250).

For the formation energy from the elements, the calculation gives -0.279 eV/atom. As for the mass density: 8.2 g/cm3. The size of the total moment is 1.008 μB per atom.

No. 2
Compound: Tm2Ga2Fe15
Source: Materials Project
Functional: meta-GGA r2SCAN
Structure: optimized geometry

It has space group P6_3/mmc (No. 194), with a = 8.5242 Å, b = 8.5242 Å, c = 8.3306 Å, α = 90.00°, β = 90.00° and γ = 120.00°. Symmetry generates all atoms from Tm at (0.0000, 0.0000, 0.2500), Tm at (0.3333, 0.6667, 0.2500), Ga at (0.3333, 0.6667, 0.5985), Fe at (0.0000, 0.5000, 0.0000), Fe at (0.0306, 0.3606, 0.7500) and Fe at (0.1650, 0.3300, 0.0117).

For the formation energy from the elements, the calculation gives -0.029 eV/atom. As for the mass density: 8.3 g/cm3. The size of the total moment is 1.954 μB per atom.

No. 3
Compound: UGa6Fe6
Source: Materials Project
Functional: meta-GGA r2SCAN
Structure: optimized geometry

It has space group Immm (No. 71), with a = 4.980 Å, b = 8.568 Å, c = 8.727 Å, α = 90.00°, β = 90.00° and γ = 90.00°. Symmetry generates all atoms from U at (0.000, 0.000, 0.000), Ga at (0.000, 0.000, 0.351), Ga at (0.000, 0.341, 0.000), Ga at (0.000, 0.500, 0.301), Fe at (0.000, 0.269, 0.500) and Fe at (0.250, 0.250, 0.250).

For the formation energy from the elements, the calculation gives -0.203 eV/atom. As for the mass density: 8.8 g/cm3. The size of the total moment is 0.898 μB per atom.

No. 4
Compound: Y4Ga12Fe
Source: Materials Project
Functional: meta-GGA r2SCAN
Structure: optimized geometry

It has space group Im-3m (No. 229), with a = 8.546 Å, b = 8.546 Å, c = 8.546 Å, α = 90.00°, β = 90.00° and γ = 90.00°. Symmetry generates all atoms from Y at (0.250, 0.250, 0.250), Ga at (0.000, 0.000, 0.290), Ga at (0.000, 0.250, 0.500) and Fe at (0.000, 0.000, 0.000).

For the formation energy from the elements, the calculation gives -0.555 eV/atom. As for the mass density: 6.6 g/cm3. The size of the total moment is 0.127 μB per atom.